[1]
Computed, not measured: a relaxed structure of Na8Zr6BBr20 at the PBE level of DFT.

extended XYZ file:
```
35
Lattice="2.285 9.947 -4.705 8.137 6.486 4.243 9.575 1.453 -5.701" Properties=species:S:1:pos:R:3 pbc="T T T"
Br 12.664 8.596 -2.520
Br 9.086 3.164 -2.320
Br 10.145 11.531 -2.176
Br 4.999 4.471 -1.541
Br 0.777 3.382 -1.600
Br 4.275 8.770 -1.662
Br 3.256 0.494 -1.938
Br 2.767 2.205 1.443
Br 8.626 4.775 0.862
Br 7.333 9.290 -3.642
Br 14.998 13.414 -4.622
Br 4.763 7.059 -5.043
Br 1.508 6.565 -3.105
Br 6.319 0.959 -3.763
Br 9.852 6.354 -3.987
Br 6.147 7.663 1.201
Br 5.370 4.281 2.800
Br 9.355 8.094 -0.550
Br 7.096 4.341 -5.362
Br 10.642 9.792 -5.612
Zr 9.699 3.639 -4.936
Zr 10.298 14.247 -1.226
Zr 8.681 7.203 2.105
Zr 11.316 10.682 -8.268
Zr 4.536 9.654 -4.231
Zr 15.461 8.232 -1.932
Na 12.553 7.258 -5.404
Na 7.444 10.628 -0.759
Na 11.514 5.886 -1.315
Na 8.483 11.999 -4.848
Na 8.247 7.818 -6.310
Na 11.750 10.068 0.147
Na 7.208 6.447 -2.221
Na 12.789 11.439 -3.941
B 0.000 0.000 0.000
```

- Calculated formation energy: -1.74 eV per atom

[2]
Computed, not measured: a relaxed structure of LiSi6Bi9O26 at the PBE level of DFT.

extended XYZ file:
```
42
Lattice="0.966 9.576 1.274 -8.585 -4.261 1.544 1.754 -1.078 6.776" Properties=species:S:1:pos:R:3 pbc="T T T"
O -4.236 1.684 3.328
O -0.340 5.367 2.751
O -1.874 5.565 6.993
O 0.472 2.346 4.441
O -1.996 3.108 2.820
O -1.632 2.511 6.444
O -4.013 1.171 6.716
O 0.387 6.741 7.832
O -5.673 -3.038 4.107
O -1.697 0.570 3.652
O -3.936 -1.308 2.774
O -3.408 3.347 8.274
O -3.031 5.624 3.489
O -0.310 6.925 5.373
O -5.517 -1.236 6.722
O 1.214 -0.746 4.688
O 0.330 -0.203 1.273
O -6.638 -0.179 3.653
O 0.850 4.357 6.095
O -2.676 0.869 1.326
O -6.615 2.158 5.178
O -2.771 -1.280 6.004
O -7.001 2.270 2.668
O -6.176 -2.301 1.727
O 1.244 1.805 6.825
O -3.836 3.788 5.786
Bi -3.687 -0.703 8.077
Bi -0.439 0.533 5.627
Bi -5.512 3.689 3.766
Bi 1.931 6.552 5.971
Bi -2.215 4.962 1.375
Bi -7.794 -2.287 3.406
Bi -4.286 5.433 7.402
Bi -1.653 -1.113 2.003
Bi -1.360 4.436 4.678
Si -4.873 -2.634 2.710
Si -2.694 1.605 2.821
Si 1.510 2.912 5.612
Si -0.973 6.956 6.898
Si -3.252 2.601 6.795
Si -7.310 1.267 3.962
Li -4.491 -0.208 4.970
```

- Calculated formation energy: -2.37 eV per atom
- Distance to the lowest polymorph of the same formula: 0.414 eV per formula unit

[3]
Computed, not measured: a relaxed structure of Pr3Rh4Pb13 at the PBE level of DFT.

extended XYZ file:
```
40
Lattice="-6.210 8.071 -0.380 -7.974 -6.044 1.935 1.307 1.477 9.998" Properties=species:S:1:pos:R:3 pbc="T T T"
Pb -3.405 -0.601 0.534
Pb -9.084 -0.329 4.820
Pb -4.105 5.827 1.286
Pb -7.691 4.968 0.271
Pb -0.329 0.088 7.235
Pb -7.801 2.550 2.654
Pb -1.700 2.702 1.433
Pb -4.198 3.375 3.634
Pb -6.439 1.752 5.776
Pb -6.493 -2.942 1.283
Pb -7.001 3.455 8.781
Pb -3.300 0.216 5.593
Pb -3.793 3.832 6.733
Pb -7.106 5.161 5.360
Pb -5.877 0.049 2.772
Pb -0.798 3.721 8.332
Pb 0.000 0.000 0.000
Pb -6.338 -4.655 4.698
Pb -10.779 2.628 1.021
Pb -9.577 3.288 5.960
Pb -5.772 -1.658 6.193
Pb -0.835 -0.484 3.363
Pb -3.203 6.846 8.185
Pb -5.076 0.953 8.899
Pb -5.831 -4.083 8.570
Pb -8.679 0.129 7.919
Rh -6.553 -1.408 8.855
Rh -3.219 0.876 2.888
Rh -7.206 -2.146 3.856
Rh -6.325 4.911 2.698
Rh -9.658 2.628 8.665
Rh -10.311 1.889 3.666
Rh -2.566 1.614 7.887
Rh -5.671 5.650 7.697
Pr -9.085 -0.498 1.261
Pr -4.004 6.792 4.714
Pr -5.099 2.524 0.294
Pr -0.899 2.756 4.904
Pr -3.660 -2.653 3.467
Pr -3.007 -1.914 8.466
```

- Calculated formation energy: -0.29 eV per atom

[4]
Computed, not measured: a relaxed structure of Mg2Sn at the PBE level of DFT.

extended XYZ file:
```
6
Lattice="-5.759 2.036 0.329 -3.250 0.626 5.145 -1.744 5.320 2.466" Properties=species:S:1:pos:R:3 pbc="T T T"
Mg -5.377 3.991 3.970
Mg -4.920 1.565 1.939
Mg -2.746 2.196 4.249
Mg -3.087 4.222 1.751
Sn -1.791 1.329 1.322
Sn -8.963 6.653 6.618
```

- Calculated formation energy: -0.06 eV per atom

[5]
Computed, not measured: a relaxed structure of KIO3 at the PBE level of DFT.

extended XYZ file:
```
5
Lattice="3.240 -3.155 0.000 3.240 3.155 0.000 0.167 0.000 4.519" Properties=species:S:1:pos:R:3 pbc="T T T"
K 3.362 0.000 2.286
O 0.400 0.069 2.711
O 2.135 1.712 0.160
O 2.068 -1.781 0.259
I 0.032 0.000 0.021
```

- Calculated formation energy: -1.36 eV per atom

[6]
Computed, not measured: a relaxed structure of Sm2InGe2 at the PBE level of DFT.

extended XYZ file:
```
10
Lattice="0.000 0.000 4.308 7.502 0.000 0.000 0.000 7.502 0.000" Properties=species:S:1:pos:R:3 pbc="T T T"
Sm 5.093 1.342 2.154
Sm 1.342 2.409 2.154
Sm 6.160 5.093 2.154
Sm 2.409 6.160 2.154
Ge 6.599 2.848 0.000
Ge 0.903 4.655 0.000
Ge 4.655 6.599 0.000
Ge 2.848 0.903 0.000
In 3.751 3.751 0.000
In 0.000 0.000 0.000
```

- Calculated formation energy: -0.74 eV per atom

[7]
Computed, not measured: a relaxed structure of La2TiO5 at the PBE level of DFT.

extended XYZ file:
```
32
Lattice="-2.946 -2.610 0.048 4.073 -4.763 -9.125 6.366 -7.065 6.530" Properties=species:S:1:pos:R:3 pbc="T T T"
O 0.386 -4.906 -1.013
O 3.866 -5.884 -2.029
O 5.381 -7.630 -4.007
O 6.897 -12.241 -0.285
O 7.107 -9.533 -1.536
O -0.052 -1.414 0.603
O 3.627 -8.554 -0.519
O 2.687 -7.581 -5.305
O 0.596 -2.197 -2.263
O 7.545 -13.025 -3.152
O 7.440 -9.962 -4.432
O 2.112 -6.809 1.459
O 4.806 -6.858 2.756
O 4.432 -9.392 3.376
O 4.861 -9.989 -2.836
O 0.053 -4.477 1.884
O 3.061 -5.047 -5.924
O 2.632 -4.450 0.288
O 6.456 -8.748 1.210
O 1.037 -5.690 -3.759
Ti 6.548 -8.934 -3.267
Ti 0.945 -5.505 0.719
Ti 1.419 -6.152 -5.447
Ti 6.075 -8.287 2.899
La -1.275 -3.027 -0.825
La 4.303 -6.334 0.349
La 2.283 -4.102 -2.240
La 5.210 -10.337 -0.308
La 4.739 -6.949 -6.373
La 3.190 -8.104 -2.897
La 2.754 -7.490 3.825
La 8.768 -11.411 -1.723
```

- Calculated formation energy: -3.85 eV per atom